No. 1
Mn7Zn4Si2As2O24: optimized geometry, GGA+U.

Cell: 18.0265 8.6574 11.6746 Å, 90.00 90.00 90.00°
Space group Cmce (No. 64)
Asymmetric unit:
Mn 0.0000 0.0000 0.0000 [4 per cell]
Mn 0.0913 0.2447 0.3681 [16 per cell]
Mn 0.1669 0.0000 0.0000 [8 per cell]
Zn 0.1740 0.1421 0.6162 [16 per cell]
Si 0.2500 0.1125 0.2500 [8 per cell]
As 0.0000 0.1211 0.6357 [8 per cell]
O 0.0000 0.2341 0.5144 [8 per cell]
O 0.0000 0.2447 0.7562 [8 per cell]
O 0.0793 0.0094 0.6342 [16 per cell]
O 0.0793 0.0353 0.8919 [16 per cell]
O 0.1634 0.2246 0.9856 [16 per cell]
O 0.1742 0.2174 0.2476 [16 per cell]
O 0.2478 0.0092 0.1306 [16 per cell]

The calculation puts the calculated total energy at -0.489 Ry/atom. The value obtained for the spin magnetization is 0.692 μB per atom. Its energy of formation from the pure elements is -2038 meV/atom. The MP2020-corrected energy is -7.3738 eV/atom.

No. 2
Sr10Mn5Zn9As10O10: optimized geometry, GGA+U.

Cell: 9.3453 9.8061 12.1956 Å, 92.00 112.25 108.90°
Space group P1 (No. 1)
Asymmetric unit:
Sr 0.0000 0.0000 0.0000 [1 per cell]
Sr 0.0260 0.4725 0.3122 [1 per cell]
Sr 0.3528 0.3128 0.8533 [1 per cell]
Sr 0.3927 0.9595 0.4281 [1 per cell]
Sr 0.4504 0.1638 0.1862 [1 per cell]
Sr 0.4900 0.7807 0.8004 [1 per cell]
Sr 0.7647 0.2703 0.6242 [1 per cell]
Sr 0.7942 0.6140 0.8541 [1 per cell]
Sr 0.8280 0.0958 0.4239 [1 per cell]
Sr 0.9153 0.7708 0.2287 [1 per cell]
Mn 0.1755 0.4692 0.6224 [1 per cell]
Mn 0.1943 0.7785 0.1547 [1 per cell]
Mn 0.5498 0.5143 0.1327 [1 per cell]
Mn 0.7356 0.4248 0.4091 [1 per cell]
Mn 0.7698 0.8733 0.6601 [1 per cell]
Zn 0.0046 0.6545 0.6623 [1 per cell]
Zn 0.1328 0.1333 0.2930 [1 per cell]
Zn 0.2241 0.4069 0.1324 [1 per cell]
Zn 0.2416 0.9709 0.6841 [1 per cell]
Zn 0.2900 0.7344 0.9737 [1 per cell]
Zn 0.4432 0.4140 0.5945 [1 per cell]
Zn 0.5218 0.6245 0.3513 [1 per cell]
Zn 0.6287 0.1211 0.0026 [1 per cell]
Zn 0.9652 0.3787 0.9681 [1 per cell]
As 0.1034 0.5100 0.8281 [1 per cell]
As 0.1843 0.7391 0.5601 [1 per cell]
As 0.2258 0.1550 0.5479 [1 per cell]
As 0.3194 0.9769 0.9113 [1 per cell]
As 0.3332 0.3869 0.3546 [1 per cell]
As 0.5080 0.7726 0.1892 [1 per cell]
As 0.6679 0.2494 0.8371 [1 per cell]
As 0.6995 0.5985 0.5651 [1 per cell]
As 0.7290 0.4042 0.0377 [1 per cell]
As 0.8227 0.0558 0.1729 [1 per cell]
O 0.1659 0.7206 0.2994 [1 per cell]
O 0.2212 0.0083 0.2226 [1 per cell]
O 0.3475 0.3336 0.0586 [1 per cell]
O 0.4229 0.5159 0.7321 [1 per cell]
O 0.6125 0.2019 0.3973 [1 per cell]
O 0.7033 0.0124 0.5657 [1 per cell]
O 0.7618 0.5267 0.2708 [1 per cell]
O 0.7668 0.8518 0.8178 [1 per cell]
O 0.9489 0.3684 0.4960 [1 per cell]
O 0.9670 0.7614 0.0444 [1 per cell]

For the excess energy over the best structure of this formula in the dataset, the calculation gives 0.0 kJ per mole of atoms. The calculation puts the calculated total energy at -0.354 Ry/atom. The value obtained for the spin magnetization is 0.523 μB per atom. Its energy of formation from the pure elements is -1299 meV/atom. The MP2020-corrected energy is -5.1653 eV/atom.

No. 3
Sr10Mn5Zn9As10O10: optimized geometry, GGA+U.

Cell: 9.0572 9.4165 11.9005 Å, 97.34 108.71 102.77°
Space group P1 (No. 1)
Asymmetric unit:
Sr 0.0000 0.0000 0.0000 [1 per cell]
Sr 0.0101 0.6372 0.4317 [1 per cell]
Sr 0.0255 0.2767 0.2090 [1 per cell]
Sr 0.0566 0.7528 0.7691 [1 per cell]
Sr 0.2133 0.4567 0.8754 [1 per cell]
Sr 0.2379 0.0328 0.5848 [1 per cell]
Sr 0.5642 0.3383 0.4107 [1 per cell]
Sr 0.6076 0.9898 0.0276 [1 per cell]
Sr 0.6819 0.1088 0.7691 [1 per cell]
Sr 0.6959 0.8178 0.3153 [1 per cell]
Mn 0.0293 0.8968 0.2612 [1 per cell]
Mn 0.3680 0.4836 0.1814 [1 per cell]
Mn 0.3896 0.7807 0.7375 [1 per cell]
Mn 0.7561 0.4442 0.7262 [1 per cell]
Mn 0.9174 0.3918 0.9762 [1 per cell]
Zn 0.1821 0.3845 0.5457 [1 per cell]
Zn 0.2361 0.7047 0.2575 [1 per cell]
Zn 0.3351 0.9746 0.2368 [1 per cell]
Zn 0.3361 0.1365 0.8886 [1 per cell]
Zn 0.4479 0.4559 0.7034 [1 per cell]
Zn 0.5170 0.7478 0.5432 [1 per cell]
Zn 0.6474 0.4720 0.1340 [1 per cell]
Zn 0.7568 0.6238 0.9388 [1 per cell]
Zn 0.8605 0.0981 0.5692 [1 per cell]
As 0.0424 0.0903 0.7678 [1 per cell]
As 0.3107 0.5312 0.4002 [1 per cell]
As 0.3680 0.7428 0.1068 [1 per cell]
As 0.3825 0.1841 0.1256 [1 per cell]
As 0.5535 0.9853 0.4839 [1 per cell]
As 0.5627 0.3733 0.9107 [1 per cell]
As 0.6758 0.7425 0.7668 [1 per cell]
As 0.8902 0.2478 0.4178 [1 per cell]
As 0.9251 0.6228 0.1469 [1 per cell]
As 0.9259 0.4357 0.6022 [1 per cell]
O 0.1485 0.4038 0.0711 [1 per cell]
O 0.1905 0.7833 0.6248 [1 per cell]
O 0.3212 0.7081 0.8510 [1 per cell]
O 0.4482 0.0042 0.8159 [1 per cell]
O 0.5544 0.3255 0.6201 [1 per cell]
O 0.6055 0.5392 0.2814 [1 per cell]
O 0.8402 0.1840 0.9924 [1 per cell]
O 0.8940 0.9987 0.1668 [1 per cell]
O 0.9509 0.5280 0.8657 [1 per cell]
O 0.9956 0.8835 0.4090 [1 per cell]

For the excess energy over the best structure of this formula in the dataset, the calculation gives 5.8 kJ per mole of atoms. The calculation puts the calculated total energy at -0.350 Ry/atom. The value obtained for the spin magnetization is 0.477 μB per atom. Its energy of formation from the pure elements is -1239 meV/atom. The MP2020-corrected energy is -5.1047 eV/atom.

No. 4
U2MnAs2O20: optimized geometry, GGA+U.

Cell: 7.3328 10.1203 13.1180 Å, 75.61 81.83 77.70°
Space group P-1 (No. 2)
Asymmetric unit:
U 0.2136 0.2179 0.4181 [2 per cell]
U 0.2251 0.6966 0.8979 [2 per cell]
Mn 0.4424 0.4101 0.7584 [2 per cell]
As 0.2452 0.3728 0.1271 [2 per cell]
As 0.2535 0.8692 0.6126 [2 per cell]
O 0.0353 0.6515 0.2352 [2 per cell]
O 0.0455 0.2889 0.8429 [2 per cell]
O 0.0833 0.2919 0.0969 [2 per cell]
O 0.0919 0.7943 0.5759 [2 per cell]
O 0.1458 0.9236 0.2124 [2 per cell]
O 0.1570 0.3566 0.4883 [2 per cell]
O 0.1685 0.8355 0.9682 [2 per cell]
O 0.1723 0.8440 0.3044 [2 per cell]
O 0.2010 0.3786 0.2576 [2 per cell]
O 0.2186 0.8480 0.7487 [2 per cell]
O 0.2215 0.5365 0.0439 [2 per cell]
O 0.2222 0.0454 0.5615 [2 per cell]
O 0.2727 0.0870 0.3397 [2 per cell]
O 0.2757 0.9874 0.1624 [2 per cell]
O 0.2900 0.5420 0.8124 [2 per cell]
O 0.3344 0.3276 0.7062 [2 per cell]
O 0.4129 0.5220 0.3297 [2 per cell]
O 0.4493 0.6944 0.1482 [2 per cell]
O 0.4752 0.2980 0.1013 [2 per cell]
O 0.4763 0.7899 0.5786 [2 per cell]

The calculation puts the calculated total energy at -0.499 Ry/atom. The value obtained for the spin magnetization is 0.040 μB per atom. Its energy of formation from the pure elements is -1250 meV/atom. The MP2020-corrected energy is -6.8514 eV/atom.

No. 5
Mn3Zn2As2O12: optimized geometry, GGA+U.

Cell: 25.1276 3.0055 7.5223 Å, 90.00 102.18 90.00°
Space group C2/m (No. 12)
Asymmetric unit:
Mn 0.0000 0.0000 0.0000 [2 per cell]
Mn 0.0824 0.5000 0.3266 [4 per cell]
Zn 0.2095 0.0000 0.3784 [4 per cell]
As 0.1056 0.5000 0.8389 [4 per cell]
O 0.0298 0.0000 0.2563 [4 per cell]
O 0.0584 0.5000 0.9789 [4 per cell]
O 0.0817 0.5000 0.6182 [4 per cell]
O 0.1318 0.0000 0.3396 [4 per cell]
O 0.1456 0.0000 0.9182 [4 per cell]
O 0.2460 0.0000 0.6529 [4 per cell]

The calculation puts the calculated total energy at -0.448 Ry/atom. The value obtained for the spin magnetization is 0.684 μB per atom. Its energy of formation from the pure elements is -1601 meV/atom. The MP2020-corrected energy is -6.7953 eV/atom.

No. 6
MnZnAsO5: optimized geometry, GGA+U.

Cell: 6.2079 8.2493 8.3934 Å, 90.00 90.00 90.00°
Space group P2_12_12_1 (No. 19)
Asymmetric unit:
Mn 0.2430 0.2503 0.0003 [4 per cell]
Zn 0.0045 0.7491 0.8059 [4 per cell]
As 0.0084 0.6046 0.1696 [4 per cell]
O 0.0042 0.9142 0.4098 [4 per cell]
O 0.0064 0.6491 0.5917 [4 per cell]
O 0.0278 0.7538 0.0295 [4 per cell]
O 0.2221 0.1307 0.2157 [4 per cell]
O 0.2388 0.6235 0.2870 [4 per cell]

The calculation puts the calculated total energy at -0.453 Ry/atom. The value obtained for the spin magnetization is 0.500 μB per atom. Its energy of formation from the pure elements is -1823 meV/atom. The MP2020-corrected energy is -6.8009 eV/atom.

No. 7
Mn3Zn3As4O16: optimized geometry, GGA+U.

Cell: 8.7176 5.3045 16.3366 Å, 90.00 111.54 90.00°
Space group P2_1/c (No. 14)
Asymmetric unit:
Mn 0.0000 0.0000 0.0000 [2 per cell]
Mn 0.3007 0.9997 0.6237 [4 per cell]
Zn 0.1957 0.0516 0.2162 [4 per cell]
Zn 0.5000 0.0000 0.5000 [2 per cell]
As 0.0832 0.9999 0.3915 [4 per cell]
As 0.4688 0.0197 0.8525 [4 per cell]
O 0.0012 0.7062 0.6083 [4 per cell]
O 0.0694 0.2086 0.5987 [4 per cell]
O 0.1052 0.5891 0.7973 [4 per cell]
O 0.2507 0.5552 0.9867 [4 per cell]
O 0.3222 0.1083 0.7515 [4 per cell]
O 0.3358 0.6046 0.6493 [4 per cell]
O 0.4235 0.1893 0.9284 [4 per cell]
O 0.4787 0.6980 0.8688 [4 per cell]

The calculation puts the calculated total energy at -0.453 Ry/atom. The value obtained for the spin magnetization is 0.577 μB per atom. Its energy of formation from the pure elements is -1820 meV/atom. The MP2020-corrected energy is -6.7846 eV/atom.

No. 8
Na2MoAs2O9: optimized geometry, GGA+U.

Cell: 7.2297 12.3235 9.9737 Å, 90.00 100.75 90.00°
Space group P2_1 (No. 4)
Asymmetric unit:
Na 0.0041 0.0000 0.2427 [2 per cell]
Na 0.1318 0.3954 0.3820 [2 per cell]
Na 0.1343 0.0807 0.8836 [2 per cell]
Na 0.4687 0.4860 0.7255 [2 per cell]
Mo 0.3585 0.6683 0.2064 [2 per cell]
Mo 0.3591 0.8087 0.7072 [2 per cell]
As 0.0782 0.8205 0.9633 [2 per cell]
As 0.0796 0.6563 0.4632 [2 per cell]
As 0.3101 0.0599 0.5455 [2 per cell]
As 0.3100 0.4166 0.0443 [2 per cell]
O 0.1003 0.6591 0.2954 [2 per cell]
O 0.1000 0.8160 0.7955 [2 per cell]
O 0.1353 0.9370 0.0476 [2 per cell]
O 0.1378 0.5401 0.5496 [2 per cell]
O 0.1582 0.6976 0.0384 [2 per cell]
O 0.1584 0.7789 0.5390 [2 per cell]
O 0.1685 0.1810 0.5467 [2 per cell]
O 0.1698 0.2949 0.0473 [2 per cell]
O 0.2338 0.9756 0.6608 [2 per cell]
O 0.2348 0.5005 0.1605 [2 per cell]
O 0.2879 0.4574 0.8832 [2 per cell]
O 0.2914 0.0196 0.3843 [2 per cell]
O 0.4012 0.6733 0.7468 [2 per cell]
O 0.4031 0.8032 0.2480 [2 per cell]
O 0.4533 0.1313 0.8704 [2 per cell]
O 0.4536 0.3453 0.3710 [2 per cell]
O 0.4645 0.6086 0.3931 [2 per cell]
O 0.4649 0.8676 0.8934 [2 per cell]

The calculation puts the calculated total energy at -0.445 Ry/atom. The value obtained for the spin magnetization is 0.000 μB per atom. Its energy of formation from the pure elements is -1913 meV/atom. The MP2020-corrected energy is -6.7233 eV/atom.